[1]
K2LaNb5O15 (GGA-PBE, relaxed); energy = -8.39 eV/atom; SG = P4/mbm
1.0
12.8078 0.0000 0.0000
0.0000 12.8078 0.0000
0.0000 0.0000 3.9772
O Nb K La
30 10 4 2
Direct
0.7151 0.7849 0.0000
0.9232 0.1929 0.5000
0.4984 0.8429 0.0000
0.9984 0.6571 0.0000
0.8672 0.0610 0.0000
0.1328 0.9390 0.0000
0.4232 0.3071 0.5000
0.3429 0.9984 0.0000
0.0610 0.1328 0.0000
0.5016 0.1571 0.0000
0.0016 0.3429 0.0000
0.5768 0.6929 0.5000
0.6929 0.4232 0.5000
0.5610 0.3672 0.0000
0.0000 0.5000 0.5000
0.8429 0.5016 0.0000
0.0768 0.8071 0.5000
0.4390 0.6328 0.0000
0.6571 0.0016 0.0000
0.3071 0.5768 0.5000
0.2849 0.2151 0.0000
0.2151 0.7151 0.0000
0.7849 0.2849 0.0000
0.8071 0.9232 0.5000
0.3672 0.4390 0.0000
0.9390 0.8672 0.0000
0.1571 0.4984 0.0000
0.6328 0.5610 0.0000
0.5000 0.0000 0.5000
0.1929 0.0768 0.5000
0.2860 0.5757 0.0000
0.2140 0.0757 0.0000
0.4243 0.2860 0.0000
0.9243 0.2140 0.0000
0.5757 0.7140 0.0000
0.0000 0.5000 0.0000
0.5000 0.0000 0.0000
0.7860 0.9243 0.0000
0.0757 0.7860 0.0000
0.7140 0.4243 0.0000
0.8289 0.6711 0.5000
0.6711 0.1711 0.5000
0.3289 0.8289 0.5000
0.1711 0.3289 0.5000
0.0000 0.0000 0.5000
0.5000 0.5000 0.5000


[2]
KLaTiNbO6 (GGA-PBE, relaxed); energy = -8.20 eV/atom; SG = F-43m
1.0
4.4782 3.3027 1.0551
0.4489 5.0522 -2.5196
-0.6303 4.7422 3.0314
O Nb K La Ti
6 1 1 1 1
Direct
0.2524 0.7476 0.7476
0.7476 0.7476 0.2524
0.2524 0.7476 0.2524
0.7476 0.2524 0.7476
0.2524 0.2524 0.7476
0.7476 0.2524 0.2524
0.0000 0.0000 0.0000
0.2500 0.2500 0.2500
0.7500 0.7500 0.7500
0.5000 0.5000 0.5000


[3]
K2La4O7 (GGA-PBE, relaxed); energy = -7.19 eV/atom; SG = P-31m
1.0
0.5792 6.1293 -1.6730
-4.4442 -3.6531 -2.7580
-5.0596 1.9856 5.5230
K La O
2 4 7
Direct
0.3333 0.6667 0.0000
0.6667 0.3333 0.0000
0.0000 0.0000 0.7231
0.0000 0.0000 0.2769
0.3333 0.6667 0.5000
0.6667 0.3333 0.5000
0.6383 0.0000 0.3250
0.0000 0.6383 0.3250
0.6383 0.6383 0.6750
0.3617 0.0000 0.6750
0.0000 0.3617 0.6750
0.3617 0.3617 0.3250
0.0000 0.0000 0.0000


[4]
KLaPrSbO6 (GGA-PBE, relaxed); energy = -6.90 eV/atom; SG = Pnnn; relative energy among the computed polymorphs = 0 kJ/mol of formula units
1.0
8.5787 0.0000 0.0000
0.0000 8.5583 0.0000
0.0000 0.0000 8.4763
O Pr K Sb La
24 4 4 4 4
Direct
0.4815 0.6956 0.7829
0.5185 0.3044 0.7829
0.2370 0.4810 0.2881
0.9815 0.8044 0.2829
0.2116 0.7252 0.9803
0.7630 0.4810 0.7119
0.0185 0.8044 0.7171
0.7884 0.2748 0.9803
0.7630 0.5190 0.2881
0.7370 0.9810 0.2119
0.2116 0.2748 0.0197
0.2370 0.5190 0.7119
0.7370 0.0190 0.7881
0.7884 0.7252 0.0197
0.4815 0.3044 0.2171
0.2630 0.0190 0.2119
0.9815 0.1956 0.7171
0.2884 0.7748 0.5197
0.7116 0.2252 0.5197
0.2630 0.9810 0.7881
0.7116 0.7748 0.4803
0.0185 0.1956 0.2829
0.5185 0.6956 0.2171
0.2884 0.2252 0.4803
0.2500 0.2500 0.7500
0.7500 0.7500 0.7500
0.7500 0.2500 0.2500
0.2500 0.7500 0.2500
0.0000 0.5000 0.0000
0.5000 0.0000 0.5000
0.0000 0.5000 0.5000
0.5000 0.0000 0.0000
0.7500 0.7500 0.2500
0.2500 0.7500 0.7500
0.2500 0.2500 0.2500
0.7500 0.2500 0.7500
0.5000 0.5000 0.5000
0.5000 0.5000 0.0000
0.0000 0.0000 0.5000
0.0000 0.0000 0.0000


[5]
KLaPrSbO6 (GGA-PBE, relaxed); energy = -6.80 eV/atom; SG = F-43m; relative energy among the computed polymorphs = 91 kJ/mol of formula units
1.0
2.6950 0.7597 -5.3849
-1.9452 -3.1135 -4.8332
-2.9248 2.8659 -4.4799
O K La Pr Sb
6 1 1 1 1
Direct
0.7318 0.2682 0.2682
0.7318 0.2682 0.7318
0.2682 0.7318 0.2682
0.2682 0.7318 0.7318
0.2682 0.2682 0.7318
0.7318 0.7318 0.2682
0.2500 0.2500 0.2500
0.7500 0.7500 0.7500
0.0000 0.0000 0.0000
0.5000 0.5000 0.5000


[6]
KLaS2O8 (GGA-PBE, relaxed); energy = -6.61 eV/atom; SG = P-1
1.0
-2.5478 -4.8616 0.6371
6.2273 -3.4286 0.4692
0.4221 0.6764 8.6185
S O La K
4 16 2 2
Direct
0.7577 0.6743 0.9301
0.2215 0.1992 0.5468
0.7785 0.8008 0.4532
0.2423 0.3257 0.0699
0.9696 0.2718 0.5147
0.2131 0.0519 0.6758
0.6645 0.8745 0.5951
0.5385 0.8050 0.9221
0.9808 0.7851 0.8971
0.3734 0.3594 0.5881
0.7869 0.9481 0.3242
0.2732 0.4585 0.1941
0.4615 0.1950 0.0779
0.0192 0.2149 0.1029
0.6266 0.6406 0.4119
0.3355 0.1255 0.4049
0.7268 0.5415 0.8059
0.0304 0.7282 0.4853
0.2317 0.4223 0.9141
0.7683 0.5777 0.0859
0.3131 0.6816 0.7043
0.6869 0.3184 0.2957
0.2526 0.8455 0.1866
0.7474 0.1545 0.8134


Record order is preserved below.
Calculated volume: 652.4 128.4 273.1 622.3 158.1 339.7 Å³/cell